In4Se3N2 | PBE | relaxed

Properties
Its energy of formation from the pure elements is -62 meV/atom. Its energy above the most stable polymorph in this dataset is 1.272 eV/f.u. As for the space group: Pnnm (58). The total energy comes out at -4.22 eV per atom. As for the crystal system: orthorhombic.

Cell: 7.2243 14.5274 3.7445 Å, 90.00 90.00 90.00°
Sites, in units of the cell vectors:
In 0.1951 0.0643 0.0000
In 0.1981 0.8513 0.5000
In 0.3019 0.3513 0.0000
In 0.3049 0.5643 0.5000
In 0.6951 0.4357 0.5000
In 0.6981 0.6487 0.0000
In 0.8019 0.1487 0.5000
In 0.8049 0.9357 0.0000
Se 0.0000 0.5000 0.0000
Se 0.1728 0.2109 0.5000
Se 0.3272 0.7109 0.0000
Se 0.5000 0.0000 0.5000
Se 0.6728 0.2891 0.0000
Se 0.8272 0.7891 0.5000
N 0.1197 0.9195 0.0000
N 0.3803 0.4195 0.5000
N 0.6197 0.5805 0.5000
N 0.8803 0.0805 0.0000

CeGa3Ni | PBE | relaxed

Properties
Its energy of formation from the pure elements is -500 meV/atom. Its energy above the most stable polymorph in this dataset is 0.449 eV/f.u. As for the space group: I-4m2 (119). The total energy comes out at -4.66 eV per atom. As for the crystal system: tetragonal.

Cell: 5.9527 5.9527 5.9527 Å, 138.95 138.95 59.45°
Sites, in units of the cell vectors:
Ce 0.0000 0.0000 0.0000
Ga 0.3805 0.3805 0.0000
Ga 0.6195 0.6195 0.0000
Ga 0.7500 0.2500 0.5000
Ni 0.2500 0.7500 0.5000

Ba2Tm2CuPtO8 | PBE | relaxed

Properties
Its energy of formation from the pure elements is -2703 meV/atom. As for the space group: Pnma (62). The total energy comes out at -6.78 eV per atom. As for the crystal system: orthorhombic.

Cell: 13.2939 5.6942 10.3692 Å, 90.00 90.00 90.00°
Sites, in units of the cell vectors:
Ba 0.0772 0.2500 0.0927
Ba 0.2072 0.7500 0.3150
Ba 0.2928 0.2500 0.8150
Ba 0.4228 0.7500 0.5927
Ba 0.5772 0.2500 0.4073
Ba 0.7072 0.7500 0.1850
Ba 0.7928 0.2500 0.6850
Ba 0.9228 0.7500 0.9073
Tm 0.0827 0.2500 0.4871
Tm 0.1411 0.7500 0.6880
Tm 0.3589 0.2500 0.1880
Tm 0.4173 0.7500 0.9871
Tm 0.5827 0.2500 0.0129
Tm 0.6411 0.7500 0.8120
Tm 0.8589 0.2500 0.3120
Tm 0.9173 0.7500 0.5129
Cu 0.0395 0.2500 0.7656
Cu 0.4605 0.7500 0.2656
Cu 0.5395 0.2500 0.7344
Cu 0.9605 0.7500 0.2344
Pt 0.1948 0.7500 0.9682
Pt 0.3052 0.2500 0.4682
Pt 0.6948 0.7500 0.5318
Pt 0.8052 0.2500 0.0318
O 0.0085 0.0037 0.6341
O 0.0085 0.4963 0.6341
O 0.0884 0.7500 0.1100
O 0.1138 0.5099 0.8596
O 0.1138 0.9901 0.8596
O 0.2030 0.2500 0.3142
O 0.2140 0.0090 0.5574
O 0.2140 0.4910 0.5574
O 0.2860 0.5090 0.0574
O 0.2860 0.9910 0.0574
O 0.2970 0.7500 0.8142
O 0.3862 0.0099 0.3596
O 0.3862 0.4901 0.3596
O 0.4116 0.2500 0.6100
O 0.4915 0.5037 0.1341
O 0.4915 0.9963 0.1341
O 0.5085 0.0037 0.8659
O 0.5085 0.4963 0.8659
O 0.5884 0.7500 0.3900
O 0.6138 0.5099 0.6404
O 0.6138 0.9901 0.6404
O 0.7030 0.2500 0.1858
O 0.7140 0.0090 0.9426
O 0.7140 0.4910 0.9426
O 0.7860 0.5090 0.4426
O 0.7860 0.9910 0.4426
O 0.7970 0.7500 0.6858
O 0.8862 0.0099 0.1404
O 0.8862 0.4901 0.1404
O 0.9116 0.2500 0.8900
O 0.9915 0.5037 0.3659
O 0.9915 0.9963 0.3659

YAu2 | PBE | relaxed

Properties
Its energy of formation from the pure elements is -862 meV/atom. As for the space group: I4/mmm (139). The total energy comes out at -5.20 eV per atom. As for the crystal system: tetragonal.

Cell: 5.2807 5.2807 5.2807 Å, 138.36 138.36 60.35°
Sites, in units of the cell vectors:
Y 0.0000 0.0000 0.0000
Au 0.3348 0.3348 0.0000
Au 0.6652 0.6652 0.0000

CeAgAs2 | PBE | relaxed

Properties
Its energy of formation from the pure elements is -783 meV/atom. As for the space group: Pbcm (57). The total energy comes out at -5.30 eV per atom. As for the crystal system: orthorhombic.

Cell: 5.7671 20.2558 5.8175 Å, 90.00 90.00 90.00°
Sites, in units of the cell vectors:
Ce 0.0090 0.1094 0.2500
Ce 0.0090 0.3906 0.7500
Ce 0.4902 0.6129 0.7500
Ce 0.4902 0.8871 0.2500
Ce 0.5098 0.1129 0.7500
Ce 0.5098 0.3871 0.2500
Ce 0.9910 0.6094 0.2500
Ce 0.9910 0.8906 0.7500
Ag 0.2362 0.7500 0.0000
Ag 0.2362 0.7500 0.5000
Ag 0.2620 0.2500 0.0000
Ag 0.2620 0.2500 0.5000
Ag 0.7380 0.7500 0.0000
Ag 0.7380 0.7500 0.5000
Ag 0.7638 0.2500 0.0000
Ag 0.7638 0.2500 0.5000
As 0.0110 0.1563 0.7500
As 0.0110 0.3437 0.2500
As 0.2666 0.0002 0.5047
As 0.2666 0.0002 0.9953
As 0.2666 0.4998 0.0047
As 0.2666 0.4998 0.4953
As 0.4896 0.6569 0.2500
As 0.4896 0.8431 0.7500
As 0.5104 0.1569 0.2500
As 0.5104 0.3431 0.7500
As 0.7334 0.9998 0.0047
As 0.7334 0.9998 0.4953
As 0.7334 0.5002 0.5047
As 0.7334 0.5002 0.9953
As 0.9890 0.6563 0.7500
As 0.9890 0.8437 0.2500

Na4Ga3Ge3BH4O12 | PBE | relaxed

Properties
Its energy of formation from the pure elements is -1824 meV/atom. As for the space group: P-43n (218). The total energy comes out at -5.51 eV per atom. As for the crystal system: cubic.

Cell: 9.2423 9.2423 9.2423 Å, 90.00 90.00 90.00°
Sites, in units of the cell vectors:
Na 0.1706 0.1706 0.1706
Na 0.1706 0.8294 0.8294
Na 0.3294 0.3294 0.6706
Na 0.3294 0.6706 0.3294
Na 0.6706 0.3294 0.3294
Na 0.6706 0.6706 0.6706
Na 0.8294 0.1706 0.8294
Na 0.8294 0.8294 0.1706
Ga 0.0000 0.2500 0.5000
Ga 0.0000 0.7500 0.5000
Ga 0.2500 0.5000 0.0000
Ga 0.5000 0.0000 0.2500
Ga 0.5000 0.0000 0.7500
Ga 0.7500 0.5000 0.0000
Ge 0.0000 0.5000 0.2500
Ge 0.0000 0.5000 0.7500
Ge 0.2500 0.0000 0.5000
Ge 0.5000 0.2500 0.0000
Ge 0.5000 0.7500 0.0000
Ge 0.7500 0.0000 0.5000
B 0.0000 0.0000 0.0000
B 0.5000 0.5000 0.5000
H 0.0769 0.0769 0.9231
H 0.0769 0.9231 0.0769
H 0.4231 0.4231 0.4231
H 0.4231 0.5769 0.5769
H 0.5769 0.4231 0.5769
H 0.5769 0.5769 0.4231
H 0.9231 0.0769 0.0769
H 0.9231 0.9231 0.9231
O 0.0810 0.3608 0.6465
O 0.0810 0.6392 0.3535
O 0.1392 0.4190 0.1465
O 0.1392 0.5810 0.8535
O 0.1465 0.1392 0.4190
O 0.1465 0.8608 0.5810
O 0.3535 0.0810 0.6392
O 0.3535 0.9190 0.3608
O 0.3608 0.3535 0.9190
O 0.3608 0.6465 0.0810
O 0.4190 0.1465 0.1392
O 0.4190 0.8535 0.8608
O 0.5810 0.1465 0.8608
O 0.5810 0.8535 0.1392
O 0.6392 0.3535 0.0810
O 0.6392 0.6465 0.9190
O 0.6465 0.0810 0.3608
O 0.6465 0.9190 0.6392
O 0.8535 0.1392 0.5810
O 0.8535 0.8608 0.4190
O 0.8608 0.4190 0.8535
O 0.8608 0.5810 0.1465
O 0.9190 0.3608 0.3535
O 0.9190 0.6392 0.6465

Sb | PBE | relaxed

Properties
Its energy of formation from the pure elements is 51 meV/atom. Its energy above the most stable polymorph in this dataset is 0.051 eV/f.u. As for the space group: Pm-3m (221). The total energy comes out at -4.08 eV per atom. As for the crystal system: cubic.

Cell: 3.1027 3.1027 3.1027 Å, 90.00 90.00 90.00°
Sites, in units of the cell vectors:
Sb 0.0000 0.0000 0.0000

CaCd2Pd | PBE | relaxed

Properties
Its energy of formation from the pure elements is -506 meV/atom. As for the space group: Pnma (62). The total energy comes out at -2.76 eV per atom. As for the crystal system: orthorhombic.

Cell: 8.0547 8.1888 5.6317 Å, 90.00 90.00 90.00°
Sites, in units of the cell vectors:
Ca 0.0336 0.2500 0.1012
Ca 0.4664 0.7500 0.6012
Ca 0.5336 0.2500 0.3988
Ca 0.9664 0.7500 0.8988
Cd 0.1718 0.0555 0.5950
Cd 0.1718 0.4445 0.5950
Cd 0.3282 0.5555 0.0950
Cd 0.3282 0.9445 0.0950
Cd 0.6718 0.0555 0.9050
Cd 0.6718 0.4445 0.9050
Cd 0.8282 0.5555 0.4050
Cd 0.8282 0.9445 0.4050
Pd 0.1219 0.7500 0.3825
Pd 0.3781 0.2500 0.8825
Pd 0.6219 0.7500 0.1175
Pd 0.8781 0.2500 0.6175